(1)
{"formula": "CaTi2O5", "functional": "GGA-PBE", "state": "optimized geometry", "mass_density_g_cm3": 2.94, "polymorph_energy_mev_per_atom": 56, "delta_e_f_kj_per_mol_atoms": -336.5, "lattice": [[-2.1355, -3.1389, -0.3797], [1.5788, 0.5644, 5.6243], [-9.4755, 6.1999, 2.0378]], "species": ["O", "O", "O", "O", "O", "O", "O", "Ti", "O", "Ti", "Ca", "Ti", "Ti", "Ca", "O", "O"], "fractional_positions": [[0.2411, 0.4821, 0.0757], [0.2411, 0.4821, 0.4243], [0.7145, 0.4291, 0.2500], [0.7589, 0.5179, 0.9243], [0.9456, 0.8912, 0.1208], [0.9456, 0.8912, 0.3792], [0.7589, 0.5179, 0.5757], [0.7951, 0.5902, 0.0969], [0.2855, 0.5709, 0.7500], [0.2049, 0.4098, 0.5969], [0.0985, 0.1970, 0.2500], [0.7951, 0.5902, 0.4031], [0.2049, 0.4098, 0.9031], [0.9015, 0.8030, 0.7500], [0.0544, 0.1088, 0.6208], [0.0544, 0.1088, 0.8792]]}



(2)
{"formula": "CaTi2O4", "functional": "GGA-PBE", "state": "optimized geometry", "mass_density_g_cm3": 3.80, "polymorph_energy_mev_per_atom": 101, "delta_e_f_kj_per_mol_atoms": -313.1, "lattice": [[1.9546, 5.6704, -1.4978], [-3.4715, -0.8405, 5.0457], [13.0791, -2.2296, 8.6271]], "species": ["Ti", "O", "Ti", "O", "O", "O", "O", "Ti", "Ca", "O", "O", "O", "O", "Ti", "Ti", "Ti", "O", "O", "Ti", "O", "O", "Ca", "O", "O", "Ti", "Ca", "Ti", "Ca", "O", "Ca", "O", "O", "O", "O", "Ti", "O", "O", "O", "Ti", "Ti", "O", "Ca"], "fractional_positions": [[0.8275, 0.1725, 0.8350], [0.3387, 0.1694, 0.0951], [0.8275, 0.6551, 0.8350], [0.8306, 0.6613, 0.0951], [0.1927, 0.8073, 0.4179], [0.4988, 0.5012, 0.7555], [0.1503, 0.8497, 0.8999], [0.3449, 0.1725, 0.8350], [0.3333, 0.6667, 0.9590], [0.0000, 0.0000, 0.7674], [0.3599, 0.1800, 0.5609], [0.8200, 0.1800, 0.5609], [0.0000, 0.0000, 0.2356], [0.4945, 0.5055, 0.4981], [0.1683, 0.8317, 0.1706], [0.3333, 0.6667, 0.7136], [0.0025, 0.5012, 0.7555], [0.6145, 0.8073, 0.4179], [0.3333, 0.6667, 0.3307], [0.6667, 0.3333, 0.4317], [0.0453, 0.5227, 0.2462], [0.6667, 0.3333, 0.2943], [0.1503, 0.3006, 0.8999], [0.8306, 0.1694, 0.0951], [0.4945, 0.9889, 0.4981], [0.0000, 0.0000, 0.3760], [0.6667, 0.3333, 0.0495], [0.6667, 0.3333, 0.6623], [0.1927, 0.3855, 0.4179], [0.0000, 0.0000, 0.6272], [0.3333, 0.6667, 0.5867], [0.6667, 0.3333, 0.9256], [0.3333, 0.6667, 0.1028], [0.6994, 0.8497, 0.8999], [0.0111, 0.5055, 0.4981], [0.4988, 0.9975, 0.7555], [0.8200, 0.6401, 0.5609], [0.4773, 0.9547, 0.2462], [0.1683, 0.3367, 0.1706], [0.6633, 0.8317, 0.1706], [0.4773, 0.5227, 0.2462], [0.0000, 0.0000, 0.9993]]}



(3)
{"formula": "CaTiO3", "functional": "GGA-PBE", "state": "optimized geometry", "mass_density_g_cm3": 3.93, "delta_e_f_kj_per_mol_atoms": -341.9, "lattice": [[3.8416, -3.8841, 0.0000], [3.8416, 3.8841, 0.0000], [0.0000, 0.0000, 7.6970]], "species": ["O", "O", "O", "O", "Ti", "O", "Ti", "Ti", "Ca", "O", "O", "Ca", "O", "O", "O", "Ti", "Ca", "Ca", "O", "O"], "fractional_positions": [[0.7896, 0.7896, 0.0000], [0.7142, 0.2858, 0.5488], [0.2858, 0.7142, 0.0488], [0.4533, 0.9443, 0.7500], [0.0000, 0.5000, 0.0000], [0.2858, 0.7142, 0.4512], [0.0000, 0.5000, 0.5000], [0.5000, 0.0000, 0.5000], [0.0048, 0.9952, 0.2500], [0.7142, 0.2858, 0.9512], [0.5467, 0.0557, 0.2500], [0.5128, 0.4872, 0.2500], [0.2104, 0.2104, 0.5000], [0.0557, 0.5467, 0.7500], [0.7896, 0.7896, 0.5000], [0.5000, 0.0000, 0.0000], [0.4872, 0.5128, 0.7500], [0.9952, 0.0048, 0.7500], [0.9443, 0.4533, 0.2500], [0.2104, 0.2104, 0.0000]]}



Repeat the first record exactly.
{"formula": "CaTi2O5", "functional": "GGA-PBE", "state": "optimized geometry", "mass_density_g_cm3": 2.94, "polymorph_energy_mev_per_atom": 56, "delta_e_f_kj_per_mol_atoms": -336.5, "lattice": [[-2.1355, -3.1389, -0.3797], [1.5788, 0.5644, 5.6243], [-9.4755, 6.1999, 2.0378]], "species": ["O", "O", "O", "O", "O", "O", "O", "Ti", "O", "Ti", "Ca", "Ti", "Ti", "Ca", "O", "O"], "fractional_positions": [[0.2411, 0.4821, 0.0757], [0.2411, 0.4821, 0.4243], [0.7145, 0.4291, 0.2500], [0.7589, 0.5179, 0.9243], [0.9456, 0.8912, 0.1208], [0.9456, 0.8912, 0.3792], [0.7589, 0.5179, 0.5757], [0.7951, 0.5902, 0.0969], [0.2855, 0.5709, 0.7500], [0.2049, 0.4098, 0.5969], [0.0985, 0.1970, 0.2500], [0.7951, 0.5902, 0.4031], [0.2049, 0.4098, 0.9031], [0.9015, 0.8030, 0.7500], [0.0544, 0.1088, 0.6208], [0.0544, 0.1088, 0.8792]]}